Below is a geometry-optimized ScC structure, with properties calculated at the PBE level.

CIF file:
```
data_ScC
_chemical_formula_sum 'Sc2 C2'
_cell_length_a 3.2169
_cell_length_b 3.2169
_cell_length_c 5.9546
_cell_angle_alpha 90.00
_cell_angle_beta 90.00
_cell_angle_gamma 120.00
_space_group_name_H-M_alt 'P 63/m m c'
_space_group_IT_number 194
_space_group_name_Hall '-P 6c 2c'
loop_
_atom_site_label
_atom_site_type_symbol
_atom_site_fract_x
_atom_site_fract_y
_atom_site_fract_z
Sc1 Sc 0.0000 0.0000 0.0000
C1 C 0.3333 0.6667 0.2500
```

Summary:
distance to the lowest polymorph of the same formula: 292 meV/atom
uncorrected energy: -7.627 eV/atom